(1)
# Li2FeGeS4 GGA-PBE optimized geometry
data_Li2FeGeS4
_cell_length_a 6.649
_cell_length_b 6.283
_cell_length_c 10.022
_cell_angle_alpha 51.29
_cell_angle_beta 90.00
_cell_angle_gamma 90.00
_symmetry_space_group_name_H-M 'P 1'
_symmetry_Int_Tables_number 1
loop_
_symmetry_equiv_pos_as_xyz
'x,y,z'
loop_
_atom_site_label
_atom_site_type_symbol
_atom_site_fract_x
_atom_site_fract_y
_atom_site_fract_z
Li1 Li 0.668 0.392 0.126
Li2 Li 0.332 0.392 0.626
Li3 Li 0.843 0.126 0.890
Li4 Li 0.157 0.126 0.390
Fe1 Fe 0.324 0.878 0.137
Fe2 Fe 0.676 0.878 0.637
Ge1 Ge 0.820 0.628 0.385
Ge2 Ge 0.180 0.628 0.885
S1 S 0.855 0.753 0.872
S2 S 0.145 0.753 0.372
S3 S 0.655 0.978 0.149
S4 S 0.345 0.978 0.649
S5 S 0.810 0.259 0.393
S6 S 0.190 0.259 0.893
S7 S 0.321 0.525 0.124
S8 S 0.679 0.525 0.624
# **Total energy after the MP2020 corrections**: -82.890 eV/cell
# **Spin magnetization**: 8.00 μB per cell

---

(2)
A plane-wave DFT calculation with GGA-PBE was carried out for crystalline Li9Ge4 at its relaxed geometry.

```
data_Li9Ge4
_cell_length_a 4.474
_cell_length_b 4.474
_cell_length_c 23.740
_cell_angle_alpha 90.00
_cell_angle_beta 90.00
_cell_angle_gamma 120.46
_symmetry_space_group_name_H-M 'P 1'
_symmetry_Int_Tables_number 1
loop_
_symmetry_equiv_pos_as_xyz
'x,y,z'
loop_
_atom_site_label
_atom_site_type_symbol
_atom_site_fract_x
_atom_site_fract_y
_atom_site_fract_z
Li1 Li 0.847 0.153 0.250
Li2 Li 0.153 0.847 0.750
Li3 Li 0.163 0.837 0.517
Li4 Li 0.837 0.163 0.483
Li5 Li 0.837 0.163 0.017
Li6 Li 0.163 0.837 0.983
Li7 Li 0.152 0.848 0.632
Li8 Li 0.848 0.152 0.368
Li9 Li 0.823 0.177 0.593
Li10 Li 0.177 0.823 0.407
Li11 Li 0.177 0.823 0.093
Li12 Li 0.823 0.177 0.907
Li13 Li 0.487 0.513 0.823
Li14 Li 0.513 0.487 0.177
Li15 Li 0.513 0.487 0.323
Li16 Li 0.487 0.513 0.677
Li17 Li 0.152 0.848 0.868
Li18 Li 0.848 0.152 0.132
Ge1 Ge 0.494 0.506 0.554
Ge2 Ge 0.506 0.494 0.446
Ge3 Ge 0.506 0.494 0.054
Ge4 Ge 0.494 0.506 0.946
Ge5 Ge 0.821 0.179 0.699
Ge6 Ge 0.179 0.821 0.301
Ge7 Ge 0.179 0.821 0.199
Ge8 Ge 0.821 0.179 0.801
```

---

(3)
# K2Al2O7 GGA-PBE optimized geometry
data_K2Al2O7
_cell_length_a 6.769
_cell_length_b 6.769
_cell_length_c 8.015
_cell_angle_alpha 90.00
_cell_angle_beta 90.00
_cell_angle_gamma 103.98
_symmetry_space_group_name_H-M 'P 1'
_symmetry_Int_Tables_number 1
loop_
_symmetry_equiv_pos_as_xyz
'x,y,z'
loop_
_atom_site_label
_atom_site_type_symbol
_atom_site_fract_x
_atom_site_fract_y
_atom_site_fract_z
K1 K 0.511 0.530 0.724
K2 K 0.470 0.489 0.276
K3 K 0.011 0.030 0.776
K4 K 0.970 0.989 0.224
Al1 Al 0.068 0.545 0.008
Al2 Al 0.455 0.932 0.992
Al3 Al 0.568 0.045 0.492
Al4 Al 0.955 0.432 0.508
O1 O 0.168 0.335 0.518
O2 O 0.665 0.832 0.482
O3 O 0.668 0.835 0.982
O4 O 0.165 0.332 0.018
O5 O 0.918 0.479 0.813
O6 O 0.521 0.082 0.187
O7 O 0.418 0.979 0.687
O8 O 0.021 0.582 0.313
O9 O 0.977 0.620 0.680
O10 O 0.380 0.023 0.320
O11 O 0.477 0.120 0.820
O12 O 0.880 0.523 0.180
O13 O 0.708 0.292 0.500
O14 O 0.208 0.792 0.000
# **Total energy after the MP2020 corrections**: -124.989 eV/cell
# **Spin magnetization**: 4.00 μB per cell

---

(4)
# Pr12C6I17 GGA-PBE optimized geometry
data_Pr12C6I17
_cell_length_a 12.015
_cell_length_b 12.015
_cell_length_c 19.504
_cell_angle_alpha 89.25
_cell_angle_beta 89.25
_cell_angle_gamma 63.99
_symmetry_space_group_name_H-M 'P 1'
_symmetry_Int_Tables_number 1
loop_
_symmetry_equiv_pos_as_xyz
'x,y,z'
loop_
_atom_site_label
_atom_site_type_symbol
_atom_site_fract_x
_atom_site_fract_y
_atom_site_fract_z
Pr1 Pr 0.711 0.296 0.021
Pr2 Pr 0.704 0.289 0.479
Pr3 Pr 0.289 0.704 0.979
Pr4 Pr 0.296 0.711 0.521
Pr5 Pr 0.534 0.548 0.128
Pr6 Pr 0.452 0.466 0.372
Pr7 Pr 0.466 0.452 0.872
Pr8 Pr 0.548 0.534 0.628
Pr9 Pr 0.899 0.424 0.117
Pr10 Pr 0.576 0.101 0.383
Pr11 Pr 0.101 0.576 0.883
Pr12 Pr 0.424 0.899 0.617
Pr13 Pr 0.641 0.641 0.950
Pr14 Pr 0.359 0.359 0.550
Pr15 Pr 0.359 0.359 0.050
Pr16 Pr 0.641 0.641 0.450
Pr17 Pr 0.020 0.077 0.152
Pr18 Pr 0.923 0.980 0.348
Pr19 Pr 0.980 0.923 0.848
Pr20 Pr 0.077 0.020 0.652
Pr21 Pr 0.808 0.338 0.289
Pr22 Pr 0.662 0.192 0.211
Pr23 Pr 0.192 0.662 0.711
Pr24 Pr 0.338 0.808 0.789
C1 C 0.721 0.366 0.150
C2 C 0.634 0.279 0.350
C3 C 0.279 0.634 0.850
C4 C 0.366 0.721 0.650
C5 C 0.831 0.257 0.153
C6 C 0.743 0.169 0.347
C7 C 0.169 0.743 0.847
C8 C 0.257 0.831 0.653
C9 C 0.533 0.532 0.988
C10 C 0.468 0.467 0.512
C11 C 0.467 0.468 0.012
C12 C 0.532 0.533 0.488
I1 I 0.180 0.212 0.101
I2 I 0.788 0.820 0.399
I3 I 0.820 0.788 0.899
I4 I 0.212 0.180 0.601
I5 I 0.283 0.806 0.138
I6 I 0.194 0.717 0.362
I7 I 0.717 0.194 0.862
I8 I 0.806 0.283 0.638
I9 I 0.000 0.000 0.000
I10 I 0.000 0.000 0.500
I11 I 0.895 0.397 0.440
I12 I 0.603 0.105 0.060
I13 I 0.105 0.603 0.560
I14 I 0.397 0.895 0.940
I15 I 0.398 0.905 0.451
I16 I 0.095 0.602 0.049
I17 I 0.602 0.095 0.549
I18 I 0.905 0.398 0.951
I19 I 0.966 0.498 0.254
I20 I 0.502 0.034 0.246
I21 I 0.034 0.502 0.746
I22 I 0.498 0.966 0.754
I23 I 0.093 0.112 0.303
I24 I 0.888 0.907 0.197
I25 I 0.907 0.888 0.697
I26 I 0.112 0.093 0.803
I27 I 0.690 0.709 0.100
I28 I 0.291 0.310 0.400
I29 I 0.310 0.291 0.900
I30 I 0.709 0.690 0.600
I31 I 0.577 0.626 0.292
I32 I 0.374 0.423 0.208
I33 I 0.423 0.374 0.708
I34 I 0.626 0.577 0.792
# **Total energy after the MP2020 corrections**: -370.406 eV/cell

---

(5)
# Mg14VSb GGA-PBE optimized geometry
data_Mg14VSb
_cell_length_a 6.318
_cell_length_b 6.318
_cell_length_c 10.363
_cell_angle_alpha 90.00
_cell_angle_beta 90.00
_cell_angle_gamma 120.00
_symmetry_space_group_name_H-M 'P 1'
_symmetry_Int_Tables_number 1
loop_
_symmetry_equiv_pos_as_xyz
'x,y,z'
loop_
_atom_site_label
_atom_site_type_symbol
_atom_site_fract_x
_atom_site_fract_y
_atom_site_fract_z
Mg1 Mg 0.168 0.834 0.125
Mg2 Mg 0.164 0.832 0.625
Mg3 Mg 0.666 0.332 0.125
Mg4 Mg 0.668 0.336 0.625
Mg5 Mg 0.666 0.834 0.125
Mg6 Mg 0.668 0.832 0.625
Mg7 Mg 0.332 0.168 0.369
Mg8 Mg 0.332 0.168 0.881
Mg9 Mg 0.332 0.663 0.369
Mg10 Mg 0.332 0.663 0.881
Mg11 Mg 0.837 0.168 0.369
Mg12 Mg 0.837 0.168 0.881
Mg13 Mg 0.833 0.667 0.375
Mg14 Mg 0.833 0.667 0.875
V1 V 0.167 0.333 0.125
Sb1 Sb 0.167 0.333 0.625
# **Total energy after the MP2020 corrections**: -35.084 eV/cell
# **Spin magnetization**: 3.61 μB per cell

---

(6)
# KTiF4 GGA-PBE optimized geometry
data_KTiF4
_cell_length_a 7.820
_cell_length_b 8.009
_cell_length_c 12.503
_cell_angle_alpha 90.00
_cell_angle_beta 90.00
_cell_angle_gamma 90.00
_symmetry_space_group_name_H-M 'P 1'
_symmetry_Int_Tables_number 1
loop_
_symmetry_equiv_pos_as_xyz
'x,y,z'
loop_
_atom_site_label
_atom_site_type_symbol
_atom_site_fract_x
_atom_site_fract_y
_atom_site_fract_z
K1 K 0.250 0.877 0.986
K2 K 0.750 0.123 0.014
K3 K 0.750 0.377 0.514
K4 K 0.250 0.623 0.486
K5 K 0.250 0.376 0.973
K6 K 0.750 0.624 0.027
K7 K 0.750 0.876 0.527
K8 K 0.250 0.124 0.473
Ti1 Ti 0.501 0.627 0.752
Ti2 Ti 0.001 0.373 0.248
Ti3 Ti 0.499 0.127 0.748
Ti4 Ti 0.999 0.873 0.252
Ti5 Ti 0.499 0.373 0.248
Ti6 Ti 0.999 0.627 0.752
Ti7 Ti 0.501 0.873 0.252
Ti8 Ti 0.001 0.127 0.748
F1 F 0.250 0.841 0.216
F2 F 0.750 0.159 0.784
F3 F 0.750 0.341 0.284
F4 F 0.250 0.659 0.716
F5 F 0.250 0.404 0.211
F6 F 0.750 0.596 0.789
F7 F 0.750 0.904 0.289
F8 F 0.250 0.096 0.711
F9 F 0.534 0.877 0.747
F10 F 0.034 0.123 0.253
F11 F 0.466 0.377 0.753
F12 F 0.966 0.623 0.247
F13 F 0.466 0.123 0.253
F14 F 0.966 0.877 0.747
F15 F 0.534 0.623 0.247
F16 F 0.034 0.377 0.753
F17 F 0.051 0.118 0.899
F18 F 0.551 0.882 0.101
F19 F 0.949 0.618 0.601
F20 F 0.449 0.382 0.399
F21 F 0.949 0.882 0.101
F22 F 0.449 0.118 0.899
F23 F 0.051 0.382 0.399
F24 F 0.551 0.618 0.601
F25 F 0.049 0.635 0.903
F26 F 0.549 0.365 0.097
F27 F 0.951 0.135 0.597
F28 F 0.451 0.865 0.403
F29 F 0.951 0.365 0.097
F30 F 0.451 0.635 0.903
F31 F 0.049 0.865 0.403
F32 F 0.549 0.135 0.597
# **Total energy after the MP2020 corrections**: -301.248 eV/cell

---

(7)
# Nb6CuSe8 GGA-PBE optimized geometry
data_Nb6CuSe8
_cell_length_a 10.056
_cell_length_b 10.056
_cell_length_c 3.476
_cell_angle_alpha 90.00
_cell_angle_beta 90.00
_cell_angle_gamma 120.00
_symmetry_space_group_name_H-M 'P 1'
_symmetry_Int_Tables_number 1
loop_
_symmetry_equiv_pos_as_xyz
'x,y,z'
loop_
_atom_site_label
_atom_site_type_symbol
_atom_site_fract_x
_atom_site_fract_y
_atom_site_fract_z
Nb1 Nb 0.108 0.620 0.250
Nb2 Nb 0.512 0.892 0.250
Nb3 Nb 0.380 0.488 0.250
Nb4 Nb 0.892 0.380 0.750
Nb5 Nb 0.488 0.108 0.750
Nb6 Nb 0.620 0.512 0.750
Cu1 Cu 0.000 0.000 0.500
Se1 Se 0.276 0.942 0.252
Se2 Se 0.666 0.724 0.252
Se3 Se 0.058 0.334 0.252
Se4 Se 0.724 0.058 0.748
Se5 Se 0.334 0.276 0.748
Se6 Se 0.942 0.666 0.748
Se7 Se 0.667 0.333 0.250
Se8 Se 0.333 0.667 0.750
# **Total energy after the MP2020 corrections**: -106.321 eV/cell
# **Spin magnetization**: 0.05 μB per cell

---

(8)
# Zn GGA-PBE optimized geometry
data_Zn
_cell_length_a 2.718
_cell_length_b 2.718
_cell_length_c 2.718
_cell_angle_alpha 109.47
_cell_angle_beta 109.47
_cell_angle_gamma 109.47
_symmetry_space_group_name_H-M 'P 1'
_symmetry_Int_Tables_number 1
loop_
_symmetry_equiv_pos_as_xyz
'x,y,z'
loop_
_atom_site_label
_atom_site_type_symbol
_atom_site_fract_x
_atom_site_fract_y
_atom_site_fract_z
Zn1 Zn 0.000 0.000 0.000
# **Spin magnetization**: 0.00 μB per cell

---

no.,energy relative to the elements (eV per atom)
1,-0.9985
2,-0.3447
3,-1.6497
4,-1.3301
5,0.0333
6,-3.4986
7,-0.9098
8,0.0717